Record 1
The following is a DFT calculation (PBE+U) of La2Mo4O15 after structural relaxation.

The structure in extended XYZ format:
```
84
Lattice="-10.8851 0.2357 -7.0343 0.2884 -9.2496 -0.7562 -5.5323 -10.1528 8.2209" Properties=species:S:1:pos:R:3 pbc="T T T"
O -10.3088 -4.5751 -2.6283
O -7.6385 -5.8523 -1.5383
O -8.4905 -13.3144 1.9687
O -9.8381 -8.3314 -4.9714
O -0.8381 -1.4237 -0.1680
O -15.2909 -17.7430 0.5984
O -4.1092 -7.0017 2.5556
O -12.0198 -12.1651 -2.1252
O -9.0655 -12.0307 5.2508
O -5.8948 -8.5193 0.3668
O -11.0215 -7.9092 0.2916
O -3.9303 -9.8513 2.3239
O -3.5783 -13.0856 1.8159
O -0.7322 -5.7536 -0.2816
O -3.2821 -3.5575 -0.4950
O -6.0198 -11.7873 2.8964
O -9.7448 -5.5218 -5.5182
O -8.7949 -18.1090 4.3428
O -7.8272 -10.7363 1.0314
O -7.0636 -7.1361 -4.8204
O -15.3968 -13.4132 0.7120
O -12.8469 -15.6092 0.9254
O -3.5213 -9.5051 -1.3537
O -5.7752 -3.4574 -2.0672
O -10.1093 -7.3794 -2.4660
O -6.3842 -13.6450 5.9486
O -6.5194 -8.6237 3.3110
O -1.2420 -3.7746 1.5013
O -8.3018 -8.4305 -0.6010
O -12.9232 -12.4548 1.6136
O -5.7435 -7.7188 -2.1520
O -12.1988 -9.3154 -1.8935
O -9.1826 -8.7390 2.2678
O -5.1075 -11.2575 0.1388
O -12.6077 -9.6616 1.7841
O -6.9465 -10.4278 -1.8374
O -9.0147 -14.8775 4.9362
O -1.3931 -8.3318 0.6573
O -4.0603 -8.6308 4.9390
O -4.1262 -12.8901 4.7912
O -8.3739 -12.7565 -0.8296
O -7.3341 -1.0578 -3.9124
O -6.5831 -16.3619 5.0833
O -9.6096 -10.5430 -2.8806
O -10.3539 -15.7094 2.4976
O -12.0687 -10.5360 -4.5086
O -7.1144 -4.2892 -4.5058
O -6.2910 -10.8354 5.4018
O -3.2058 -6.7120 -1.1832
O -10.3855 -11.4480 2.5824
O -9.5460 -2.8049 -4.6529
O -14.8870 -15.3921 -1.0709
O -5.8202 -14.5917 3.0587
O -10.2342 -10.6475 0.0636
O -12.5507 -6.0811 -1.3855
O -10.7801 -13.4473 0.3178
O -7.7551 -6.4103 1.2600
O -14.7360 -10.8350 -0.2269
O -5.3489 -5.7195 0.1126
O -12.0029 -6.2766 -4.3608
Mo -4.0003 -3.4160 -2.1875
Mo -6.4698 -10.2015 -0.1169
Mo -9.3374 -12.4830 0.6419
Mo -12.1288 -15.7508 2.6179
Mo -4.6778 -8.5376 3.2727
Mo -5.7587 -15.3532 6.2406
Mo -12.2033 -11.1857 2.6046
Mo -10.6960 -7.3173 -6.1341
Mo -10.3703 -3.8135 -5.8102
Mo -11.4513 -10.6291 -2.8423
Mo -11.2692 -6.0696 -2.6898
Mo -6.7917 -6.6838 -0.2115
Mo -5.4331 -11.8495 6.5645
Mo -9.6593 -8.9652 0.5473
Mo -3.9258 -7.9810 -2.1742
Mo -4.8599 -13.0971 3.1202
La -8.0762 -8.5421 -3.1911
La -2.5392 -10.8618 0.5399
La -8.1386 -3.2867 -2.4848
La -2.9969 -5.5978 0.9908
La -7.9905 -15.8801 2.9152
La -13.1321 -13.5689 -0.5604
La -8.0529 -10.6247 3.6215
La -13.5898 -8.3050 -0.1095
```

Its energy relative to the elements is -2.508 eV/atom. The value obtained for the total energy is -7.48 eV per atom. The calculation puts the total magnetic moment at 0.0 μB per cell. For the MP2020-corrected energy, the calculation gives -8.578 eV/atom.

Record 2
The following is a DFT calculation (PBE+U) of Ca2Mn2V3AgO12 after structural relaxation.

The structure in extended XYZ format:
```
80
Lattice="-6.3707 6.3707 6.4228 6.3707 -6.3707 6.4228 6.3707 6.3707 -6.4228" Properties=species:S:1:pos:R:3 pbc="T T T"
O 3.8049 5.8372 -3.6281
O -2.0032 3.6269 2.2742
O 2.5658 0.5335 2.7947
O 2.7438 2.0032 5.4857
O -0.7328 1.2069 1.0293
O 5.6378 5.1638 1.0293
O 2.5658 6.9041 0.4167
O -0.7328 7.5775 2.1821
O 3.8049 -0.5335 6.8395
O 4.3675 2.7438 2.2742
O 0.5335 8.9364 -0.4167
O 5.1638 7.1035 -1.0293
O 0.5335 3.8049 6.0061
O 8.3739 3.6269 0.9372
O 2.5658 5.8372 6.8395
O 3.8049 0.5335 0.4167
O 5.8372 3.8049 -2.7947
O 2.7438 8.3738 -2.2742
O -3.6269 4.3675 5.4857
O 5.6378 -1.2069 2.1821
O 5.1638 5.6378 5.3935
O 1.2069 -0.7328 5.3935
O 5.8372 2.5658 -0.4167
O 3.6269 -2.0032 4.1486
O 0.7328 1.2069 7.4521
O 0.5335 2.5658 3.6281
O 4.3675 3.6269 7.3600
O 0.7328 11.5344 1.0293
O 2.5658 -0.5335 9.2175
O 3.8049 6.9041 2.7947
O 2.0032 9.1144 2.2742
O 7.1035 1.2069 2.1821
O -2.7438 8.3739 4.1486
O 0.7328 5.1638 2.1821
O 7.5775 -0.7328 4.2407
O -0.5335 2.5658 10.0510
O 3.6269 4.3675 -0.9372
O 2.0032 3.6269 8.6971
O 9.9976 2.0032 -0.9372
O 6.9041 3.8049 3.6281
O 5.1638 0.7328 4.2407
O 2.0032 2.7438 0.9372
O 2.7438 4.3675 4.1486
O 1.2069 7.1035 4.2407
O 5.8372 -2.5658 6.0061
O -1.2069 5.6378 4.2407
O -5.1638 7.1035 5.3935
O -2.0032 2.7438 7.3600
V 0.0000 6.3707 3.2114
V 3.1853 -1.6304 8.0285
V 3.1853 4.7402 8.0285
V 1.6304 9.5560 -1.6057
V 4.7402 3.1853 -1.6057
V 3.1853 8.0011 1.6057
V 4.7402 -3.1853 4.8171
V 1.6304 3.1853 4.8171
V 3.1853 1.6304 1.6057
V 0.0000 0.0000 0.0000
V 0.0000 0.0000 6.4228
V 6.3707 0.0000 3.2114
Mn 3.1853 0.0000 4.8171
Mn 3.1853 6.3707 4.8171
Mn -3.1853 6.3707 4.8171
Mn 0.0000 9.5560 1.6057
Mn 0.0000 3.1853 8.0285
Mn 3.1853 6.3707 -1.6057
Mn 0.0000 3.1853 1.6057
Mn 6.3707 3.1853 1.6057
Ca 7.9148 -3.1853 4.8171
Ca 7.9148 3.1853 -1.6057
Ca 3.1853 -1.5441 1.6057
Ca 3.1853 1.5441 8.0285
Ca -1.5441 3.1853 4.8171
Ca 3.1853 4.8266 1.6057
Ca 9.5560 1.5441 1.6057
Ca 4.8266 3.1853 4.8171
Ag 0.0000 6.3707 0.0000
Ag 6.3707 0.0000 0.0000
Ag 0.0000 0.0000 9.6343
Ag 0.0000 0.0000 3.2114
```

Its energy relative to the elements is -2.479 eV/atom. The value obtained for the total energy is -7.24 eV per atom. The calculation puts the total magnetic moment at 40.0 μB per cell. For the MP2020-corrected energy, the calculation gives -8.069 eV/atom.

Record 3
The following is a DFT calculation (PBE+U) of Er2WO6 after structural relaxation.

The structure in extended XYZ format:
```
72
Lattice="5.5538 0.0000 0.0000 0.0000 10.5527 0.0000 0.0000 0.0000 16.1019" Properties=species:S:1:pos:R:3 pbc="T T T"
Er 3.3361 6.7777 9.0324
Er 2.5228 6.8125 3.6590
Er 2.2178 3.7750 7.0695
Er 2.5228 1.5362 4.3920
Er 0.2541 6.8125 11.7099
Er 0.2541 1.5362 12.4430
Er 3.0310 3.7402 12.4430
Er 4.9947 6.7777 0.9815
Er 0.5592 9.0513 9.0324
Er 3.0310 9.0165 11.7099
Er 5.2998 9.0165 3.6590
Er 2.2178 9.0513 0.9815
Er 4.9947 1.5013 7.0695
Er 3.3361 1.5013 15.1205
Er 5.2998 3.7402 4.3920
Er 0.5592 3.7750 15.1205
O 5.1126 2.2680 0.3530
O 0.6519 4.8404 1.1538
O 4.5105 5.8558 4.3242
O 3.2181 2.2680 8.4040
O 1.7336 4.6968 3.7267
O 2.1250 4.8404 9.2048
O 3.8202 5.8558 12.3752
O 1.7336 9.9731 4.3242
O 3.6670 8.1115 5.2576
O 4.9019 5.7122 14.9481
O 2.2458 5.1360 14.3683
O 3.7696 8.1351 2.3325
O 4.9019 0.4359 9.2048
O 5.0227 5.4167 9.7846
O 4.5611 2.8588 13.7694
O 2.3357 3.0084 0.3530
O 4.6638 2.8352 10.8444
O 0.4412 8.2847 15.7489
O 0.5311 5.1360 6.3173
O 1.8869 7.7174 13.3085
O 1.0433 9.9731 12.3752
O 1.7842 7.6939 10.3835
O 0.9927 7.6939 2.3325
O 3.3080 0.1403 6.3173
O 2.2458 10.4123 9.7846
O 1.7842 2.4175 13.7694
O 4.6638 8.1115 13.3085
O 2.1250 10.1167 14.9481
O 3.7696 2.8588 5.7185
O 3.3080 5.4167 1.7336
O 0.6519 10.1167 6.8971
O 3.4289 0.4359 1.1538
O 5.1126 7.5443 7.6980
O 5.0227 0.1403 14.3683
O 4.5105 0.5795 3.7267
O 3.8202 0.5795 11.7777
O 0.8900 2.4411 2.7934
O 0.9927 2.4175 5.7185
O 3.2181 7.5443 15.7489
O 0.8900 7.7174 5.2576
O 1.0433 4.6968 11.7777
O 3.6670 2.8352 2.7934
O 3.4289 5.7122 6.8971
O 4.5611 8.1351 10.3835
O 0.5311 10.4123 1.7336
O 1.8869 2.4411 10.8444
O 2.3357 8.2847 7.6980
O 0.4412 3.0084 8.4040
W 2.1485 4.0011 1.9465
W 3.4053 6.5515 14.1555
W 0.6284 4.0011 9.9974
W 4.9254 6.5515 6.1045
W 0.6284 9.2775 14.1555
W 4.9254 1.2752 1.9465
W 2.1485 9.2775 6.1045
W 3.4053 1.2752 9.9974
```

Its energy relative to the elements is -3.328 eV/atom. The value obtained for the total energy is -8.13 eV per atom. The calculation puts the total magnetic moment at 0.0 μB per cell. For the MP2020-corrected energy, the calculation gives -9.081 eV/atom.

Record 4
The following is a DFT calculation (PBE+U) of NiTeO3 after structural relaxation.

The structure in extended XYZ format:
```
20
Lattice="3.5635 -0.3930 3.8584 -3.1267 -4.5075 2.4286 3.9444 -4.9716 -4.1493" Properties=species:S:1:pos:R:3 pbc="T T T"
O 1.9798 -1.3973 2.6664
O 1.3563 -1.5791 -0.2825
O 3.9276 -5.9664 0.4907
O 0.9358 -6.6276 1.0130
O 2.4013 -8.4748 -0.5287
O 2.6304 -5.5808 3.1493
O 3.0248 -8.2930 2.4202
O 3.2163 -6.1385 -2.5533
O 3.4454 -3.2445 1.1248
O 0.4536 -3.9057 1.6470
O 1.7508 -4.2913 -1.0116
O 1.1648 -3.7336 4.6910
Te 1.4025 -6.0535 -1.8053
Te -0.2608 -5.8876 3.3425
Te 4.6420 -3.9846 -1.2048
Te 2.9786 -3.8186 3.9431
Ni 0.0000 0.0000 0.0000
Ni 0.2184 -2.4503 3.1435
Ni 1.9722 -2.4858 -2.0746
Ni 2.1906 -4.9361 1.0689
```

Its energy relative to the elements is -1.372 eV/atom. The value obtained for the total energy is -5.21 eV per atom. The calculation puts the total magnetic moment at 8.0 μB per cell. For the MP2020-corrected energy, the calculation gives -6.126 eV/atom.

Record 5
The following is a DFT calculation (PBE+U) of Li3Mn2FeB3O9 after structural relaxation.

The structure in extended XYZ format:
```
36
Lattice="6.3400 0.0000 0.0000 0.0000 8.2571 0.0000 0.0000 4.1197 7.1713" Properties=species:S:1:pos:R:3 pbc="T T T"
Mn 0.0000 5.5532 4.5118
Mn 0.0000 1.5782 2.5743
Mn 3.1700 5.2228 0.0867
Mn 0.0000 5.2416 0.0850
O 4.7548 8.3363 6.1577
O 0.0000 8.0962 1.3853
O 3.1700 5.3922 6.5592
O 4.7286 9.4033 4.0021
O 0.0000 11.2564 6.3411
O 0.0000 5.3965 6.6165
O 4.7328 4.2532 3.7832
O 1.6025 2.8594 1.8136
O 4.7375 2.8594 1.8136
O 1.6097 7.0030 4.1601
O 1.6072 4.2532 3.7832
O 1.5892 5.2600 1.5952
O 3.1700 11.2478 6.3712
O 1.5852 8.3363 6.1577
O 4.7303 7.0030 4.1601
O 3.1700 8.1689 1.3783
O 4.7507 5.2600 1.5952
O 1.6114 9.4033 4.0021
Li 4.7512 7.1553 2.1644
Li 1.5888 7.1553 2.1644
Li 1.5917 11.0660 5.1304
Li 1.5861 6.5407 7.0525
Li 4.7538 6.5407 7.0525
Li 4.7483 11.0660 5.1304
B 1.6082 8.2469 4.7739
B 4.7318 8.2469 4.7739
B 1.6029 4.1226 2.3991
B 0.0000 12.3755 7.1709
B 3.1700 4.1324 7.1566
B 4.7371 4.1226 2.3991
Fe 3.1700 5.5764 4.5422
Fe 3.1700 1.5455 2.5818
```

Its energy relative to the elements is -2.450 eV/atom. The value obtained for the total energy is -7.19 eV per atom. The calculation puts the total magnetic moment at 28.0 μB per cell. For the MP2020-corrected energy, the calculation gives -7.844 eV/atom.

Record 6
The following is a DFT calculation (PBE+U) of NaMg14CrO16 after structural relaxation.

The structure in extended XYZ format:
```
32
Lattice="8.5574 0.0000 0.0000 0.0000 8.5574 0.0000 0.0000 0.0000 4.2721" Properties=species:S:1:pos:R:3 pbc="T T T"
Mg 0.0000 6.4609 2.1361
Mg 6.4621 2.0953 0.0000
Mg 2.0991 4.2787 2.1361
Mg 2.0953 6.4621 0.0000
Mg 6.4621 6.4621 0.0000
Mg 4.2787 2.0991 2.1361
Mg 2.0953 2.0953 0.0000
Mg 4.2787 0.0000 0.0000
Mg 6.4583 4.2787 2.1361
Mg 0.0000 2.0965 2.1361
Mg 6.4609 0.0000 2.1361
Mg 0.0000 4.2787 0.0000
Mg 2.0965 0.0000 2.1361
Mg 4.2787 6.4583 2.1361
Cr 4.2787 4.2787 0.0000
O 2.1570 6.4004 2.1361
O 0.0000 4.2787 2.1361
O 6.2770 0.0000 0.0000
O 4.2787 4.2787 2.1361
O 6.4004 2.1570 2.1361
O 0.0000 6.2770 0.0000
O 6.3161 4.2787 0.0000
O 2.2412 4.2787 0.0000
O 0.0000 2.2804 0.0000
O 4.2787 0.0000 2.1361
O 2.2804 0.0000 0.0000
O 0.0000 0.0000 2.1361
O 4.2787 6.3161 0.0000
O 2.1570 2.1570 2.1361
O 4.2787 2.2412 0.0000
O 6.4004 6.4004 2.1361
Na 0.0000 0.0000 0.0000
```

Its energy relative to the elements is -2.909 eV/atom. The value obtained for the total energy is -6.02 eV per atom. The calculation puts the total magnetic moment at 3.0 μB per cell. For the MP2020-corrected energy, the calculation gives -6.426 eV/atom.

Record 7
The following is a DFT calculation (PBE+U) of CaCeV2O8 after structural relaxation.

The structure in extended XYZ format:
```
12
Lattice="-3.6483 3.6483 3.2154 3.6483 -3.6483 3.2154 3.6483 3.6483 -3.2154" Properties=species:S:1:pos:R:3 pbc="T T T"
O 0.0000 4.9525 0.4536
O 3.6483 2.2774 1.0753
O 2.2774 3.6483 -1.0753
O 1.3709 0.0000 2.1401
O 1.3041 3.6483 2.7618
O 0.0000 2.3442 0.4536
O -1.3041 3.6483 2.7618
O 0.0000 1.3709 4.2906
Ce 3.6483 0.0000 1.6077
V 0.0000 3.6483 1.6077
V 0.0000 0.0000 3.2154
Ca 0.0000 0.0000 0.0000
```

Its energy relative to the elements is -3.029 eV/atom. The value obtained for the total energy is -7.76 eV per atom. The calculation puts the total magnetic moment at 0.0 μB per cell. For the MP2020-corrected energy, the calculation gives -8.503 eV/atom.

Q: Look up the total magnetic moment of the second one.
A: 40.0 μB per cell

Q: Look up the energy relative to the elements of the seventh one.
A: -3.029 eV/atom